Version a
# LiTiP4O12 GGA-PBE optimized geometry
data_LiTiP4O12
_chemical_formula_sum 'Li4 Ti4 P16 O48'
_symmetry_space_group_name_H-M 'P 1'
_symmetry_Int_Tables_number 1
_symmetry_space_group_name_Hall 'P 1'
_cell_length_a 9.149
_cell_length_b 10.066
_cell_length_c 12.093
_cell_angle_alpha 54.85
_cell_angle_beta 90.00
_cell_angle_gamma 90.00
loop_
_atom_site_label
_atom_site_type_symbol
_atom_site_fract_x
_atom_site_fract_y
_atom_site_fract_z
_atom_site_occupancy
O1 O 0.817 0.202 0.976 1
O2 O 0.853 0.633 0.185 1
O3 O 0.014 0.949 0.654 1
O4 O 0.452 0.656 0.161 1
O5 O 0.224 0.216 0.242 1
O6 O 0.187 0.962 0.252 1
O7 O 0.391 0.587 0.784 1
O8 O 0.776 0.784 0.758 1
O9 O 0.313 0.962 0.752 1
O10 O 0.514 0.051 0.846 1
O11 O 0.683 0.202 0.476 1
O12 O 0.745 0.915 0.509 1
O13 O 0.647 0.633 0.685 1
O14 O 0.541 0.783 0.406 1
O15 O 0.986 0.051 0.346 1
O16 O 0.891 0.413 0.716 1
O17 O 0.299 0.674 0.385 1
O18 O 0.609 0.413 0.216 1
O19 O 0.548 0.344 0.839 1
O20 O 0.353 0.367 0.315 1
O21 O 0.943 0.466 0.894 1
O22 O 0.317 0.798 0.524 1
O23 O 0.687 0.038 0.248 1
O24 O 0.057 0.534 0.106 1
O25 O 0.979 0.879 0.154 1
O26 O 0.755 0.915 0.009 1
O27 O 0.959 0.783 0.906 1
O28 O 0.147 0.367 0.815 1
O29 O 0.021 0.121 0.846 1
O30 O 0.799 0.326 0.115 1
O31 O 0.521 0.879 0.654 1
O32 O 0.276 0.216 0.742 1
O33 O 0.255 0.085 0.491 1
O34 O 0.201 0.674 0.885 1
O35 O 0.245 0.085 0.991 1
O36 O 0.443 0.534 0.606 1
O37 O 0.724 0.784 0.258 1
O38 O 0.479 0.121 0.346 1
O39 O 0.813 0.038 0.748 1
O40 O 0.183 0.798 0.024 1
O41 O 0.486 0.949 0.154 1
O42 O 0.701 0.326 0.615 1
O43 O 0.041 0.217 0.094 1
O44 O 0.459 0.217 0.594 1
O45 O 0.952 0.344 0.339 1
O46 O 0.557 0.466 0.394 1
O47 O 0.109 0.587 0.284 1
O48 O 0.048 0.656 0.661 1
P1 P 0.103 0.097 0.243 1
P2 P 0.616 0.296 0.526 1
P3 P 0.897 0.903 0.757 1
P4 P 0.497 0.484 0.260 1
P5 P 0.003 0.484 0.760 1
P6 P 0.884 0.296 0.026 1
P7 P 0.116 0.704 0.974 1
P8 P 0.384 0.704 0.474 1
P9 P 0.997 0.516 0.240 1
P10 P 0.166 0.183 0.859 1
P11 P 0.503 0.516 0.740 1
P12 P 0.334 0.183 0.359 1
P13 P 0.834 0.817 0.141 1
P14 P 0.397 0.097 0.743 1
P15 P 0.666 0.817 0.641 1
P16 P 0.603 0.903 0.257 1
Li1 Li 0.449 0.155 0.990 1
Li2 Li 0.551 0.845 0.010 1
Li3 Li 0.051 0.155 0.490 1
Li4 Li 0.949 0.845 0.510 1
Ti1 Ti 0.803 0.185 0.812 1
Ti2 Ti 0.197 0.815 0.188 1
Ti3 Ti 0.697 0.185 0.312 1
Ti4 Ti 0.303 0.815 0.688 1
# - Space-group type: P2_1/c, No. 14
# - Theoretical density: 2.704 g cm⁻³

=====

Version b
# LiTiP4O12 GGA-PBE optimized geometry
data_LiTiP4O12
_chemical_formula_sum 'Li2 Ti2 P8 O24'
_symmetry_space_group_name_H-M 'P 1'
_symmetry_Int_Tables_number 1
_symmetry_space_group_name_Hall 'P 1'
_cell_length_a 7.284
_cell_length_b 7.284
_cell_length_c 10.098
_cell_angle_alpha 66.41
_cell_angle_beta 66.41
_cell_angle_gamma 70.15
loop_
_atom_site_label
_atom_site_type_symbol
_atom_site_fract_x
_atom_site_fract_y
_atom_site_fract_z
_atom_site_occupancy
O1 O 0.502 0.781 0.438 1
O2 O 0.910 0.155 0.098 1
O3 O 0.349 0.190 0.847 1
O4 O 0.155 0.910 0.598 1
O5 O 0.651 0.810 0.153 1
O6 O 0.219 0.498 0.062 1
O7 O 0.845 0.090 0.402 1
O8 O 0.270 0.121 0.181 1
O9 O 0.879 0.730 0.319 1
O10 O 0.190 0.349 0.347 1
O11 O 0.699 0.467 0.348 1
O12 O 0.273 0.809 0.087 1
O13 O 0.727 0.191 0.913 1
O14 O 0.498 0.219 0.562 1
O15 O 0.730 0.879 0.819 1
O16 O 0.090 0.845 0.902 1
O17 O 0.781 0.502 0.938 1
O18 O 0.191 0.727 0.413 1
O19 O 0.467 0.699 0.848 1
O20 O 0.301 0.533 0.652 1
O21 O 0.121 0.270 0.681 1
O22 O 0.809 0.273 0.587 1
O23 O 0.533 0.301 0.152 1
O24 O 0.810 0.651 0.653 1
Li1 Li 0.000 0.500 0.500 1
Li2 Li 0.500 0.000 0.000 1
P1 P 0.253 0.727 0.978 1
P2 P 0.691 0.709 0.301 1
P3 P 0.309 0.291 0.699 1
P4 P 0.291 0.309 0.199 1
P5 P 0.727 0.253 0.478 1
P6 P 0.273 0.747 0.522 1
P7 P 0.709 0.691 0.801 1
P8 P 0.747 0.273 0.022 1
Ti1 Ti 0.945 0.055 0.750 1
Ti2 Ti 0.055 0.945 0.250 1
# - Space-group type: C2/c, No. 15
# - Theoretical density: 2.801 g cm⁻³

=====

Which of them is most stable, and which least? Most stable: version b; least stable: version a.